Density functional theory data (PBE+U) for crystalline CaNdMn2O6 at its relaxed geometry.

abc: 5.456 5.502 23.060
angles: 89.96 89.99 89.97
Atoms (fractional coordinates):
Ca1 0.000 0.000 0.000
Ca2 0.000 0.001 0.330
Ca3 0.501 0.581 0.162
Ca4 0.522 0.501 0.001
Ca5 0.522 0.501 0.666
Ca6 0.999 0.001 0.666
Nd1 0.019 0.080 0.833
Nd2 0.020 0.079 0.500
Nd3 0.020 0.080 0.164
Nd4 0.502 0.579 0.500
Nd5 0.503 0.580 0.833
Nd6 0.522 0.501 0.329
Mn1 0.009 0.541 0.585
Mn2 0.010 0.540 0.918
Mn3 0.010 0.541 0.414
Mn4 0.010 0.542 0.081
Mn5 0.010 0.542 0.747
Mn6 0.012 0.543 0.247
Mn7 0.511 0.039 0.247
Mn8 0.511 0.040 0.414
Mn9 0.511 0.041 0.747
Mn10 0.511 0.041 0.918
Mn11 0.512 0.040 0.081
Mn12 0.512 0.041 0.585
O1 0.091 0.560 0.331
O2 0.095 0.563 0.999
O3 0.096 0.565 0.666
O4 0.227 0.824 0.096
O5 0.227 0.824 0.234
O6 0.231 0.821 0.567
O7 0.232 0.820 0.431
O8 0.232 0.820 0.900
O9 0.232 0.821 0.765
O10 0.289 0.319 0.900
O11 0.289 0.320 0.567
O12 0.291 0.320 0.097
O13 0.291 0.320 0.765
O14 0.292 0.323 0.430
O15 0.296 0.326 0.233
O16 0.426 0.065 0.666
O17 0.428 0.065 0.999
O18 0.429 0.059 0.331
O19 0.586 0.026 0.832
O20 0.588 0.027 0.499
O21 0.589 0.021 0.165
O22 0.722 0.752 0.595
O23 0.722 0.752 0.928
O24 0.723 0.754 0.736
O25 0.724 0.753 0.402
O26 0.726 0.757 0.068
O27 0.729 0.758 0.262
O28 0.792 0.258 0.400
O29 0.795 0.258 0.263
O30 0.798 0.252 0.595
O31 0.798 0.253 0.736
O32 0.798 0.253 0.928
O33 0.800 0.252 0.069
O34 0.929 0.522 0.165
O35 0.935 0.526 0.499
O36 0.936 0.527 0.833

Values from the calculation:
* VASP energy: -448.91 eV for the cell shown
* ΔE_f: -2.749 eV per atom
* SG: P1
* energy above the lowest structure with this stoichiometry: 2.1 kJ/mol of formula units


Density functional theory data (PBE+U) for crystalline CaNdMn2O6 at its relaxed geometry.

abc: 7.696 5.527 5.454
angles: 90.00 90.00 90.00
Atoms (fractional coordinates):
Ca1 0.000 0.207 0.000
Ca2 0.500 0.793 0.500
Nd1 0.000 0.706 0.483
Nd2 0.500 0.294 0.983
Mn1 0.250 0.248 0.493
Mn2 0.250 0.752 0.993
Mn3 0.750 0.248 0.493
Mn4 0.750 0.752 0.993
O1 0.000 0.269 0.571
O2 0.000 0.769 0.917
O3 0.208 0.461 0.204
O4 0.211 0.959 0.284
O5 0.289 0.041 0.784
O6 0.292 0.539 0.704
O7 0.500 0.231 0.417
O8 0.500 0.731 0.071
O9 0.708 0.539 0.704
O10 0.711 0.041 0.784
O11 0.789 0.959 0.284
O12 0.792 0.461 0.204

Values from the calculation:
* VASP energy: -149.68 eV for the cell shown
* ΔE_f: -2.751 eV per atom
* SG: Pmn2_1
* energy above the lowest structure with this stoichiometry: 0.0 kJ/mol of formula units